Computed, not measured: a relaxed structure of Li2Ti3CrO8 at the PBE+U level of DFT.

Cell and atoms, written as POSCAR:
```
Li2Ti3CrO8
1.0
0.026 4.243 4.244
8.459 -4.191 4.242
4.210 4.209 -8.427
O Ti Li Cr
32 12 8 4
Direct
0.343 0.265 0.693
0.244 0.898 0.932
0.719 0.422 0.432
0.706 0.902 0.418
0.318 0.289 0.193
0.871 0.291 0.194
0.593 0.015 0.193
0.691 0.897 0.931
0.569 0.039 0.693
0.093 0.515 0.193
0.993 0.148 0.432
0.607 0.536 0.207
0.621 0.540 0.694
0.956 0.652 0.918
0.219 0.922 0.432
0.121 0.040 0.694
0.969 0.173 0.932
0.191 0.397 0.931
0.442 0.147 0.431
0.456 0.152 0.918
0.206 0.402 0.418
0.819 0.789 0.193
0.857 0.286 0.707
0.844 0.765 0.693
0.469 0.673 0.932
0.357 0.786 0.707
0.371 0.790 0.194
0.942 0.647 0.431
0.744 0.398 0.932
0.107 0.036 0.207
0.069 0.539 0.693
0.493 0.648 0.432
0.656 0.719 0.313
0.906 0.469 0.812
0.656 0.719 0.812
0.031 0.344 0.063
0.906 0.469 0.313
0.281 0.094 0.562
0.781 0.594 0.562
0.157 0.218 0.313
0.406 0.969 0.812
0.531 0.844 0.063
0.406 0.969 0.313
0.156 0.218 0.812
0.501 0.500 0.000
0.001 0.000 0.000
0.812 0.937 0.625
0.751 0.250 0.500
0.312 0.437 0.625
0.251 0.750 0.500
0.062 0.687 0.125
0.562 0.187 0.125
0.156 0.719 0.812
0.656 0.219 0.812
0.406 0.469 0.313
0.907 0.969 0.313
```

## Properties
offset from the most stable computed form: 0.00 eV/f.u.
formation energy: -3.064 eV/atom
total magnetization: 0.0 Bohr magnetons per cell
E_tot: -8.0105 eV/atom

=====

Computed, not measured: a relaxed structure of Li2TiCrO4 at the PBE+U level of DFT.

Cell and atoms, written as POSCAR:
```
Li2TiCrO4
1.0
1.561 -2.496 2.944
-5.219 0.205 5.886
-5.757 -7.069 -2.941
Ti O Cr Li
4 16 4 8
Direct
0.312 0.376 0.564
0.562 0.876 0.814
0.063 0.875 0.311
0.813 0.374 0.062
0.810 0.381 0.571
0.254 0.492 0.733
0.440 0.119 0.679
0.371 0.258 0.393
0.125 0.749 0.149
0.619 0.762 0.640
0.940 0.120 0.181
0.006 0.988 0.484
0.862 0.276 0.888
0.688 0.623 0.929
0.310 0.380 0.071
0.560 0.880 0.320
0.505 0.989 0.982
0.191 0.617 0.430
0.756 0.488 0.235
0.060 0.880 0.818
0.748 0.505 0.749
0.000 0.999 0.998
0.500 0.999 0.500
0.252 0.496 0.253
0.938 0.124 0.685
0.626 0.748 0.126
0.876 0.248 0.375
0.688 0.624 0.436
0.187 0.626 0.938
0.438 0.123 0.186
0.124 0.752 0.626
0.373 0.253 0.875
```

## Properties
offset from the most stable computed form: 0.05 eV/f.u.
formation energy: -2.654 eV/atom
total magnetization: 14.4 Bohr magnetons per cell
E_tot: -7.2050 eV/atom

=====

Computed, not measured: a relaxed structure of Li24Ti7Cr5O36 at the PBE+U level of DFT.

Cell and atoms, written as POSCAR:
```
Li24Ti7Cr5O36
1.0
5.058 0.000 0.000
0.768 9.782 0.000
2.497 1.960 13.080
O Li Ti Cr
36 24 7 5
Direct
0.596 0.864 0.736
0.502 0.362 0.359
0.379 0.634 0.882
0.222 0.135 0.714
0.425 0.361 0.575
0.782 0.866 0.286
0.723 0.636 0.215
0.661 0.862 0.522
0.610 0.364 0.120
0.927 0.862 0.075
0.164 0.637 0.309
0.944 0.365 0.452
0.004 0.138 0.144
0.453 0.866 0.951
0.069 0.136 0.929
0.337 0.139 0.477
0.051 0.636 0.547
0.830 0.362 0.688
0.832 0.636 0.977
0.329 0.862 0.190
0.243 0.637 0.095
0.259 0.864 0.404
0.550 0.134 0.048
0.123 0.864 0.616
0.092 0.363 0.239
0.999 0.864 0.857
0.664 0.138 0.807
0.567 0.638 0.432
0.169 0.362 0.025
0.282 0.366 0.785
0.500 0.637 0.644
0.406 0.138 0.259
0.763 0.364 0.904
0.885 0.133 0.381
0.905 0.636 0.762
0.742 0.139 0.591
0.896 0.000 0.721
0.269 0.501 0.446
0.599 0.498 0.780
0.499 0.499 0.001
0.004 0.999 0.498
0.834 0.499 0.333
0.393 0.501 0.219
0.666 0.000 0.167
0.766 0.000 0.947
0.917 0.750 0.416
0.171 0.502 0.667
0.941 0.500 0.114
0.730 0.499 0.554
0.066 0.500 0.887
0.252 0.750 0.749
0.752 0.250 0.251
0.335 0.001 0.833
0.097 0.000 0.278
0.416 0.250 0.916
0.569 0.000 0.389
0.084 0.250 0.583
0.581 0.749 0.084
0.434 0.000 0.612
0.233 0.001 0.054
0.807 0.747 0.639
0.698 0.752 0.860
0.142 0.746 0.974
0.465 0.756 0.306
0.195 0.251 0.360
0.865 0.247 0.028
0.967 0.254 0.805
0.368 0.750 0.527
0.643 0.248 0.474
0.309 0.250 0.140
0.522 0.251 0.692
0.022 0.750 0.194
```

## Properties
offset from the most stable computed form: 0.05 eV/f.u.
formation energy: -2.667 eV/atom
total magnetization: 10.0 Bohr magnetons per cell
E_tot: -6.7325 eV/atom